No. 1
{
  "formula": "Cr2B3Os",
  "functional": "PBE",
  "state": "relaxed",
  "total_energy_ev_per_fu": -52.3,
  "cell": [[4.264, 0.000, 0.000], [0.000, 2.918, 0.000], [-0.138, 0.000, 17.378]],
  "species": ["Cr", "Cr", "Cr", "Cr", "Cr", "Cr", "Cr", "Cr", "B", "B", "B", "B", "B", "B", "B", "B", "B", "B", "B", "B", "Os", "Os", "Os", "Os"],
  "frac_coords": [[0.000, 0.000, 0.000], [0.001, 0.000, 0.329], [0.011, 0.000, 0.671], [0.510, 0.500, 0.290], [0.512, 0.500, 0.958], [0.733, 0.000, 0.174], [0.734, 0.000, 0.844], [0.743, 0.000, 0.501], [0.007, 0.500, 0.574], [0.007, 0.500, 0.911], [0.009, 0.500, 0.241], [0.224, 0.000, 0.552], [0.231, 0.000, 0.891], [0.233, 0.000, 0.221], [0.524, 0.000, 0.052], [0.524, 0.000, 0.722], [0.526, 0.000, 0.382], [0.738, 0.500, 0.075], [0.739, 0.500, 0.405], [0.745, 0.500, 0.744], [0.231, 0.500, 0.450], [0.233, 0.500, 0.122], [0.237, 0.500, 0.795], [0.516, 0.500, 0.622]]
}

=====

No. 2
{
  "formula": "Rb2NaPrBr6",
  "functional": "PBE",
  "state": "relaxed",
  "total_energy_ev_per_fu": -35.7,
  "energy_mp2020_ev_per_cell": -38.9,
  "cell": [[0.000, 5.809, 5.809], [5.809, 0.000, 5.809], [5.809, 5.809, 0.000]],
  "species": ["Rb", "Rb", "Na", "Pr", "Br", "Br", "Br", "Br", "Br", "Br"],
  "frac_coords": [[0.250, 0.250, 0.250], [0.750, 0.750, 0.750], [0.000, 0.000, 0.000], [0.500, 0.500, 0.500], [0.251, 0.251, 0.749], [0.251, 0.749, 0.251], [0.251, 0.749, 0.749], [0.749, 0.251, 0.251], [0.749, 0.251, 0.749], [0.749, 0.749, 0.251]]
}

=====

No. 3
{
  "formula": "Zn3As2O8",
  "functional": "PBE",
  "state": "relaxed",
  "total_energy_ev_per_fu": -70.2,
  "energy_mp2020_ev_per_cell": -302.7,
  "cell": [[6.724, 0.000, 0.000], [0.000, 9.015, 0.000], [-0.714, 0.000, 11.120]],
  "species": ["Zn", "Zn", "Zn", "Zn", "Zn", "Zn", "Zn", "Zn", "Zn", "Zn", "Zn", "Zn", "As", "As", "As", "As", "As", "As", "As", "As", "O", "O", "O", "O", "O", "O", "O", "O", "O", "O", "O", "O", "O", "O", "O", "O", "O", "O", "O", "O", "O", "O", "O", "O", "O", "O", "O", "O", "O", "O", "O", "O"],
  "frac_coords": [[0.080, 0.217, 0.078], [0.080, 0.283, 0.578], [0.247, 0.644, 0.635], [0.247, 0.856, 0.135], [0.382, 0.021, 0.616], [0.382, 0.479, 0.116], [0.618, 0.521, 0.884], [0.618, 0.979, 0.384], [0.753, 0.144, 0.865], [0.753, 0.356, 0.365], [0.920, 0.717, 0.422], [0.920, 0.783, 0.922], [0.106, 0.061, 0.353], [0.106, 0.439, 0.853], [0.417, 0.631, 0.364], [0.417, 0.869, 0.864], [0.583, 0.131, 0.136], [0.583, 0.369, 0.636], [0.894, 0.561, 0.147], [0.894, 0.939, 0.647], [0.051, 0.240, 0.393], [0.051, 0.260, 0.893], [0.078, 0.066, 0.619], [0.078, 0.434, 0.119], [0.127, 0.048, 0.198], [0.127, 0.452, 0.698], [0.218, 0.658, 0.453], [0.218, 0.842, 0.953], [0.326, 0.503, 0.923], [0.326, 0.997, 0.423], [0.336, 0.669, 0.215], [0.336, 0.831, 0.715], [0.391, 0.249, 0.593], [0.391, 0.251, 0.093], [0.477, 0.051, 0.857], [0.477, 0.449, 0.357], [0.523, 0.551, 0.643], [0.523, 0.949, 0.143], [0.609, 0.749, 0.907], [0.609, 0.751, 0.407], [0.664, 0.169, 0.285], [0.664, 0.331, 0.785], [0.674, 0.003, 0.577], [0.674, 0.497, 0.077], [0.782, 0.158, 0.047], [0.782, 0.342, 0.547], [0.873, 0.548, 0.302], [0.873, 0.952, 0.802], [0.922, 0.566, 0.881], [0.922, 0.934, 0.381], [0.949, 0.740, 0.107], [0.949, 0.760, 0.607]]
}

=====

Formation energy readings, ordered: -0.295; -2.104; -1.768 eV per atom